A plane-wave DFT calculation with GGA-PBE was carried out for Sr3Lu after structural relaxation.

Unit cell a=5.691 b=5.691 c=11.489 alpha=90.00 beta=90.00 gamma=90.00
Space group I4/mmm (No. 139)
Unique sites:
1 Sr 0.000 0.000 0.000 (multiplicity 2)
2 Sr 0.000 0.500 0.250 (multiplicity 4)
3 Lu 0.000 0.000 0.500 (multiplicity 2)

Summary:
Total moment = 1.9 μB per cell
Theoretical density = 3.91 g/cm³
Total energy = -2.157 eV per atom